Material: RbGeCl3
Method: DFT, PBE
State: optimized geometry

Geometry as CIF:
```
data_RbGeCl3
_chemical_formula_sum 'Rb4 Ge4 Cl12'
_cell_length_a 8.0289
_cell_length_b 7.4375
_cell_length_c 10.9301
_cell_angle_alpha 90.00
_cell_angle_beta 90.00
_cell_angle_gamma 90.00
_symmetry_space_group_name_H-M 'P n a 21'
_symmetry_Int_Tables_number 33
loop_
_symmetry_equiv_pos_as_xyz
'x,y,z'
'-x,-y,z+1/2'
'-x+1/2,y+1/2,z+1/2'
'x+1/2,-y+1/2,z'
loop_
_atom_site_label
_atom_site_fract_x
_atom_site_fract_y
_atom_site_fract_z
Rb1 0.0757 0.0251 0.0000
Ge1 0.0304 0.5144 0.2304
Cl1 0.0025 0.5720 0.0155
Cl2 0.1808 0.7859 0.2792
Cl3 0.2221 0.8300 0.7103
```

Computed properties:
Calculated formation energy   -1.68 eV/atom

Material: Na4MgSn3P6O24
Method: DFT, PBE
State: optimized geometry

Geometry as CIF:
```
data_Na4MgSn3P6O24
_chemical_formula_sum 'Na12 Mg3 Sn9 P18 O72'
_cell_length_a 8.8269
_cell_length_b 8.8308
_cell_length_c 22.5599
_cell_angle_alpha 89.99
_cell_angle_beta 89.98
_cell_angle_gamma 60.06
_symmetry_space_group_name_H-M 'P 1'
_symmetry_Int_Tables_number 1
loop_
_symmetry_equiv_pos_as_xyz
'x,y,z'
loop_
_atom_site_label
_atom_site_fract_x
_atom_site_fract_y
_atom_site_fract_z
Na1 0.0000 0.0000 0.0000
Na2 0.0008 0.9883 0.5054
Na3 0.0105 0.3475 0.7494
Na4 0.0313 0.6637 0.9191
Na5 0.3224 0.3325 0.3358
Na6 0.3432 0.3117 0.8366
Na7 0.3612 0.6186 0.7491
Na8 0.3655 0.9961 0.2476
Na9 0.6273 0.3512 0.2473
Na10 0.6316 0.9979 0.7496
Na11 0.6672 0.6551 0.6645
Na12 0.6787 0.6540 0.1649
Mg1 0.0001 0.9948 0.8570
Mg2 0.3269 0.3281 0.1859
Mg3 0.3343 0.3216 0.6844
Sn1 0.0012 0.9855 0.1486
Sn2 0.0009 0.9888 0.6503
Sn3 0.0015 0.9866 0.3573
Sn4 0.3349 0.3214 0.4870
Sn5 0.3382 0.3172 0.9879
Sn6 0.6653 0.6547 0.0234
Sn7 0.6653 0.6550 0.8218
Sn8 0.6675 0.6551 0.5231
Sn9 0.6724 0.6544 0.3205
P1 0.0013 0.2806 0.2537
P2 0.0010 0.6962 0.7560
P3 0.0404 0.3216 0.5883
P4 0.0411 0.6140 0.0867
P5 0.2922 0.6944 0.2544
P6 0.2917 0.9889 0.7549
P7 0.3336 0.6159 0.5884
P8 0.3348 0.0279 0.0892
P9 0.3709 0.6548 0.9207
P10 0.3738 0.9506 0.4199
P11 0.6282 0.0279 0.5883
P12 0.6280 0.3215 0.0893
P13 0.6662 0.3610 0.4198
P14 0.6657 0.9523 0.9201
P15 0.7094 0.2788 0.7550
P16 0.7097 0.9867 0.2536
P17 0.9633 0.3577 0.9211
P18 0.9634 0.6533 0.4210
O1 0.0199 0.1557 0.5905
O2 0.0217 0.8002 0.0898
O3 0.0294 0.7767 0.8112
O4 0.0357 0.1637 0.3096
O5 0.1179 0.3470 0.6446
O6 0.1264 0.5029 0.1400
O7 0.1426 0.3539 0.9266
O8 0.1439 0.5408 0.0270
O9 0.1462 0.4888 0.4263
O10 0.1513 0.2919 0.5312
O11 0.1598 0.5126 0.7473
O12 0.1632 0.2968 0.2474
O13 0.1678 0.8021 0.5907
O14 0.1687 0.0076 0.0912
O15 0.1769 0.0186 0.8079
O16 0.1816 0.7774 0.3107
O17 0.1889 0.8125 0.9154
O18 0.1908 0.9671 0.4154
O19 0.2140 0.8190 0.2003
O20 0.2195 0.9431 0.6980
O21 0.3035 0.1385 0.0322
O22 0.3041 0.5348 0.5313
O23 0.3184 0.1470 0.7468
O24 0.3208 0.5117 0.2482
O25 0.3542 0.4868 0.9262
O26 0.3567 0.1330 0.4255
O27 0.3591 0.5131 0.6446
O28 0.3604 0.1057 0.1456
O29 0.4608 0.8320 0.4734
O30 0.4619 0.6821 0.9741
O31 0.4777 0.6827 0.2599
O32 0.4802 0.8182 0.7592
O33 0.4799 0.8747 0.3612
O34 0.4815 0.6174 0.8621
O35 0.4978 0.1323 0.9262
O36 0.5003 0.6340 0.5812
O37 0.5007 0.3442 0.4255
O38 0.5007 0.8434 0.0821
O39 0.5244 0.3059 0.7468
O40 0.5252 0.1056 0.6446
O41 0.5251 0.3458 0.1456
O42 0.5275 0.1480 0.2482
O43 0.5477 0.1387 0.5312
O44 0.5478 0.2917 0.0322
O45 0.6292 0.8773 0.8615
O46 0.6353 0.4676 0.3612
O47 0.6463 0.4879 0.0825
O48 0.6457 0.8436 0.5813
O49 0.6880 0.8216 0.2593
O50 0.6919 0.4673 0.7596
O51 0.6978 0.4480 0.4733
O52 0.6990 0.8277 0.9730
O53 0.7909 0.0224 0.3092
O54 0.7936 0.1636 0.8080
O55 0.8148 0.0072 0.5907
O56 0.8146 0.1560 0.0909
O57 0.8268 0.9503 0.1987
O58 0.8275 0.2072 0.6981
O59 0.8280 0.4611 0.2600
O60 0.8303 0.6783 0.7593
O61 0.8313 0.9630 0.9145
O62 0.8326 0.1784 0.4150
O63 0.8452 0.4513 0.9747
O64 0.8468 0.6859 0.4753
O65 0.8548 0.6353 0.0811
O66 0.8557 0.4880 0.5813
O67 0.8868 0.6199 0.3637
O68 0.8899 0.4764 0.8632
O69 0.9567 0.2004 0.1997
O70 0.9573 0.8173 0.7002
O71 0.9791 0.8201 0.4157
O72 0.9818 0.1804 0.9151
```

Computed properties:
Calculated formation energy   -2.59 eV/atom

Material: ErAsSe
Method: DFT, PBE
State: optimized geometry

Geometry as CIF:
```
data_ErAsSe
_chemical_formula_sum 'Er2 As2 Se2'
_cell_length_a 3.8864
_cell_length_b 3.9000
_cell_length_c 8.7331
_cell_angle_alpha 90.00
_cell_angle_beta 90.00
_cell_angle_gamma 90.00
_symmetry_space_group_name_H-M 'P m m n'
_symmetry_Int_Tables_number 59
loop_
_symmetry_equiv_pos_as_xyz
'x,y,z'
'-x,-y,-z'
'-x+1/2,-y+1/2,z'
'x+1/2,y+1/2,-z'
'x+1/2,-y,-z'
'-x+1/2,y,z'
'-x,y+1/2,-z'
'x,-y+1/2,z'
loop_
_atom_site_label
_atom_site_fract_x
_atom_site_fract_y
_atom_site_fract_z
Er1 0.2500 0.2500 0.2219
As1 0.2500 0.7500 0.4984
Se1 0.2500 0.2500 0.8756
```

Computed properties:
Calculated formation energy   -1.55 eV/atom

Material: YMg6Ga
Method: DFT, PBE
State: optimized geometry

Geometry as CIF:
```
data_YMg6Ga
_chemical_formula_sum 'Y2 Mg12 Ga2'
_cell_length_a 4.9841
_cell_length_b 6.5891
_cell_length_c 11.3584
_cell_angle_alpha 90.00
_cell_angle_beta 90.00
_cell_angle_gamma 90.00
_symmetry_space_group_name_H-M 'A m m 2'
_symmetry_Int_Tables_number 38
loop_
_symmetry_equiv_pos_as_xyz
'x,y,z'
'-x,-y,z'
'-x,y,z'
'x,-y,z'
'x,y+1/2,z+1/2'
'-x,-y+1/2,z+1/2'
'-x,y+1/2,z+1/2'
'x,-y+1/2,z+1/2'
loop_
_atom_site_label
_atom_site_fract_x
_atom_site_fract_y
_atom_site_fract_z
Y1 0.0000 0.0000 0.0000
Mg1 0.0000 0.0000 0.5108
Mg2 0.0000 0.2435 0.7565
Mg3 0.5000 0.0000 0.3425
Mg4 0.5000 0.2423 0.5945
Ga1 0.5000 0.0000 0.8451
```

Computed properties:
Calculated formation energy   -0.07 eV/atom

Material: LaMg14Sb
Method: DFT, PBE
State: optimized geometry

Geometry as CIF:
```
data_LaMg14Sb
_chemical_formula_sum 'La1 Mg14 Sb1'
_cell_length_a 6.4889
_cell_length_b 6.4889
_cell_length_c 10.7439
_cell_angle_alpha 90.00
_cell_angle_beta 90.00
_cell_angle_gamma 120.00
_symmetry_space_group_name_H-M 'P -6 m 2'
_symmetry_Int_Tables_number 187
_symmetry_space_group_name_Hall 'P -6 2'
loop_
_atom_site_label
_atom_site_fract_x
_atom_site_fract_y
_atom_site_fract_z
La1 0.0000 0.0000 0.0000
Mg1 0.0075 0.5037 0.0000
Mg2 0.1671 0.3342 0.2531
Mg3 0.5014 0.0027 0.5000
Mg4 0.6667 0.3333 0.2448
Sb1 0.0000 0.0000 0.5000
```

Computed properties:
Calculated formation energy   -0.02 eV/atom

Material: K2TaCuF6
Method: DFT, PBE
State: optimized geometry

Geometry as CIF:
```
data_K2TaCuF6
_chemical_formula_sum 'K2 Ta1 Cu1 F6'
_cell_length_a 5.8166
_cell_length_b 5.9908
_cell_length_c 6.3496
_cell_angle_alpha 101.37
_cell_angle_beta 112.22
_cell_angle_gamma 109.27
_symmetry_space_group_name_H-M 'P -1'
_symmetry_Int_Tables_number 2
loop_
_symmetry_equiv_pos_as_xyz
'x,y,z'
'-x,-y,-z'
loop_
_atom_site_label
_atom_site_fract_x
_atom_site_fract_y
_atom_site_fract_z
K1 0.0117 0.2366 0.2750
Ta1 0.5000 0.5000 0.0000
Cu1 0.5000 0.0000 0.5000
F1 0.1044 0.2607 0.8961
F2 0.3636 0.1632 0.6730
F3 0.3821 0.6172 0.7153
```

Computed properties:
Calculated formation energy   -2.56 eV/atom

Material: Cu2AsO8
Method: DFT, PBE
State: optimized geometry

Geometry as CIF:
```
data_Cu2AsO8
_chemical_formula_sum 'Cu8 As4 O32'
_cell_length_a 5.4839
_cell_length_b 10.4287
_cell_length_c 12.2081
_cell_angle_alpha 90.00
_cell_angle_beta 90.00
_cell_angle_gamma 90.00
_symmetry_space_group_name_H-M 'P 21 21 21'
_symmetry_Int_Tables_number 19
loop_
_symmetry_equiv_pos_as_xyz
'x,y,z'
'-x+1/2,-y,z+1/2'
'x+1/2,-y+1/2,-z'
'-x,y+1/2,-z+1/2'
loop_
_atom_site_label
_atom_site_fract_x
_atom_site_fract_y
_atom_site_fract_z
Cu1 0.0341 0.2494 0.0056
Cu2 0.1446 0.7123 0.7251
As1 0.2051 0.5858 0.2598
O1 0.0142 0.2823 0.5962
O2 0.0226 0.3704 0.8172
O3 0.0360 0.1817 0.2218
O4 0.1437 0.1196 0.7753
O5 0.1485 0.4278 0.2794
O6 0.1836 0.3673 0.5967
O7 0.2094 0.6625 0.5668
O8 0.2226 0.8500 0.4478
```

Computed properties:
Calculated formation energy   -0.32 eV/atom

Material: KNa7Pb2O7
Method: DFT, PBE
State: optimized geometry

Geometry as CIF:
```
data_KNa7Pb2O7
_chemical_formula_sum 'K4 Na28 Pb8 O28'
_cell_length_a 17.8209
_cell_length_b 6.0409
_cell_length_c 10.7567
_cell_angle_alpha 90.00
_cell_angle_beta 90.34
_cell_angle_gamma 90.00
_symmetry_space_group_name_H-M 'P 1 21/c 1'
_symmetry_Int_Tables_number 14
loop_
_symmetry_equiv_pos_as_xyz
'x,y,z'
'-x,-y,-z'
'-x,y+1/2,-z+1/2'
'x,-y+1/2,z+1/2'
loop_
_atom_site_label
_atom_site_fract_x
_atom_site_fract_y
_atom_site_fract_z
K1 0.0363 0.0160 0.3600
Na1 0.0802 0.0589 0.0702
Na2 0.2065 0.0983 0.4099
Na3 0.2466 0.6459 0.5423
Na4 0.3055 0.1806 0.6669
Na5 0.3226 0.7138 0.7946
Na6 0.3643 0.1640 0.9214
Na7 0.4708 0.1695 0.1867
Pb1 0.1425 0.5660 0.2498
Pb2 0.4222 0.6834 0.0599
O1 0.0471 0.5143 0.3612
O2 0.1185 0.0666 0.5727
O3 0.1666 0.5941 0.7218
O4 0.2400 0.0453 0.8454
O5 0.3199 0.5259 0.9841
O6 0.3619 0.5131 0.6182
O7 0.4172 0.5111 0.2429
```

Computed properties:
Calculated formation energy   -1.58 eV/atom

Material: EuSiNi2Ge
Method: DFT, PBE
State: optimized geometry

Geometry as CIF:
```
data_EuSiNi2Ge
_chemical_formula_sum 'Eu2 Si2 Ni4 Ge2'
_cell_length_a 4.0779
_cell_length_b 4.0779
_cell_length_c 9.9440
_cell_angle_alpha 90.00
_cell_angle_beta 90.00
_cell_angle_gamma 90.00
_symmetry_space_group_name_H-M 'I 4 m m'
_symmetry_Int_Tables_number 107
_symmetry_space_group_name_Hall 'I 4 -2'
loop_
_atom_site_label
_atom_site_fract_x
_atom_site_fract_y
_atom_site_fract_z
Eu1 0.0000 0.0000 0.0000
Si1 0.0000 0.0000 0.3646
Ni1 0.0000 0.5000 0.2556
Ge1 0.0000 0.0000 0.6294
```

Computed properties:
Calculated formation energy   -0.63 eV/atom

Material: Bi8Mo3
Method: DFT, PBE
State: optimized geometry

Geometry as CIF:
```
data_Bi8Mo3
_chemical_formula_sum 'Bi16 Mo6'
_cell_length_a 7.3188
_cell_length_b 4.9013
_cell_length_c 17.1492
_cell_angle_alpha 90.00
_cell_angle_beta 102.07
_cell_angle_gamma 90.00
_symmetry_space_group_name_H-M 'P 1 21/m 1'
_symmetry_Int_Tables_number 11
loop_
_symmetry_equiv_pos_as_xyz
'x,y,z'
'-x,-y,-z'
'-x,y+1/2,-z'
'x,-y+1/2,z'
loop_
_atom_site_label
_atom_site_fract_x
_atom_site_fract_y
_atom_site_fract_z
Bi1 0.0531 0.2500 0.4076
Bi2 0.1324 0.7500 0.2871
Bi3 0.1971 0.2500 0.1687
Bi4 0.2366 0.7500 0.0335
Bi5 0.2777 0.2500 0.8981
Bi6 0.3272 0.7500 0.7648
Bi7 0.3355 0.7500 0.4846
Bi8 0.3547 0.2500 0.6349
Mo1 0.3920 0.2500 0.3488
Mo2 0.4358 0.7500 0.2046
Mo3 0.4834 0.2500 0.0658
```

Computed properties:
Calculated formation energy   0.36 eV/atom